# 1
A geometry-optimized Pr7C3I10 structure. Source: Materials Project, functional PBE.

crystal system: triclinic
E_tot: -199.67 eV for the cell shown

abc: 9.792 11.842 14.071
angles: 79.37 71.46 66.17
Fractional coordinates of all 40 atoms:
Pr 0.042 0.292 0.308
Pr 0.124 0.571 0.360
Pr 0.245 0.452 0.080
Pr 0.335 0.741 0.100
Pr 0.367 0.222 0.413
Pr 0.451 0.080 0.166
Pr 0.452 0.616 0.823
Pr 0.548 0.384 0.177
Pr 0.549 0.920 0.834
Pr 0.633 0.778 0.587
Pr 0.665 0.259 0.900
Pr 0.755 0.548 0.920
Pr 0.876 0.429 0.640
Pr 0.958 0.708 0.692
C 0.256 0.388 0.275
C 0.332 0.275 0.230
C 0.461 0.557 0.022
C 0.539 0.443 0.978
C 0.668 0.725 0.770
C 0.744 0.612 0.725
I 0.004 0.720 0.170
I 0.066 0.155 0.521
I 0.103 0.579 0.877
I 0.145 0.024 0.225
I 0.215 0.453 0.569
I 0.219 0.893 0.909
I 0.313 0.748 0.626
I 0.354 0.196 0.958
I 0.431 0.632 0.304
I 0.459 0.065 0.638
I 0.541 0.935 0.362
I 0.569 0.368 0.696
I 0.646 0.804 0.042
I 0.687 0.252 0.374
I 0.781 0.107 0.091
I 0.785 0.547 0.431
I 0.855 0.976 0.775
I 0.897 0.421 0.123
I 0.934 0.845 0.479
I 0.996 0.280 0.830

# 2
A geometry-optimized RbPr6C2I12 structure. Source: Materials Project, functional PBE.

crystal system: triclinic
E_tot: -93.75 eV for the cell shown

abc: 9.773 9.801 10.264
angles: 70.83 71.91 72.58
Fractional coordinates of all 21 atoms:
Rb 0.000 0.000 0.000
Pr 0.230 0.590 0.476
Pr 0.392 0.524 0.807
Pr 0.469 0.228 0.590
Pr 0.531 0.772 0.410
Pr 0.608 0.476 0.193
Pr 0.770 0.410 0.524
C 0.476 0.506 0.571
C 0.524 0.494 0.429
I 0.064 0.649 0.780
I 0.134 0.281 0.570
I 0.217 0.929 0.354
I 0.277 0.588 0.143
I 0.340 0.198 0.922
I 0.430 0.863 0.709
I 0.570 0.137 0.291
I 0.660 0.802 0.078
I 0.723 0.412 0.857
I 0.783 0.071 0.646
I 0.866 0.719 0.430
I 0.936 0.351 0.220

# 3
A geometry-optimized Sc7CI12 structure. Source: Materials Project, functional PBE.

crystal system: trigonal
E_tot: -94.46 eV for the cell shown

abc: 9.393 9.393 9.393
angles: 108.16 108.16 108.16
Fractional coordinates of all 20 atoms:
Sc 0.000 0.000 0.000
Sc 0.258 0.440 0.500
Sc 0.440 0.500 0.258
Sc 0.500 0.258 0.440
Sc 0.563 0.798 0.621
Sc 0.621 0.563 0.798
Sc 0.798 0.621 0.563
C 0.525 0.525 0.525
I 0.071 0.364 0.143
I 0.143 0.071 0.364
I 0.230 0.749 0.600
I 0.306 0.450 0.824
I 0.364 0.143 0.071
I 0.450 0.824 0.306
I 0.600 0.230 0.749
I 0.673 0.909 0.985
I 0.749 0.600 0.230
I 0.824 0.306 0.450
I 0.909 0.985 0.673
I 0.985 0.673 0.909

# 4
A geometry-optimized Tb2CI structure. Source: Materials Project, functional PBE.

crystal system: hexagonal
E_tot: -46.19 eV for the cell shown

abc: 3.775 3.775 14.853
angles: 90.00 90.00 120.00
Fractional coordinates of all 8 atoms:
Tb 0.333 0.667 0.086
Tb 0.333 0.667 0.414
Tb 0.667 0.333 0.586
Tb 0.667 0.333 0.914
C 0.000 0.000 0.000
C 0.000 0.000 0.500
I 0.333 0.667 0.750
I 0.667 0.333 0.250

# 5
A geometry-optimized Y5C2I9 structure. Source: Materials Project, functional PBE.

crystal system: monoclinic
E_tot: -336.49 eV for the cell shown

abc: 10.932 17.484 14.307
angles: 90.00 121.59 90.00
Fractional coordinates of all 64 atoms:
Y 0.012 0.053 0.253
Y 0.012 0.447 0.753
Y 0.016 0.656 0.716
Y 0.016 0.844 0.216
Y 0.151 0.039 0.034
Y 0.151 0.461 0.534
Y 0.198 0.679 0.554
Y 0.198 0.821 0.054
Y 0.338 0.558 0.801
Y 0.338 0.942 0.301
Y 0.662 0.058 0.699
Y 0.662 0.442 0.199
Y 0.802 0.179 0.946
Y 0.802 0.321 0.446
Y 0.849 0.539 0.466
Y 0.849 0.961 0.966
Y 0.984 0.156 0.784
Y 0.984 0.344 0.284
Y 0.988 0.553 0.247
Y 0.988 0.947 0.747
C 0.070 0.531 0.662
C 0.070 0.969 0.162
C 0.122 0.584 0.617
C 0.122 0.916 0.117
C 0.878 0.084 0.883
C 0.878 0.416 0.383
C 0.930 0.031 0.838
C 0.930 0.469 0.338
I 0.090 0.065 0.655
I 0.090 0.435 0.155
I 0.094 0.197 0.168
I 0.094 0.303 0.668
I 0.094 0.692 0.142
I 0.094 0.808 0.642
I 0.281 0.173 0.967
I 0.281 0.327 0.467
I 0.299 0.567 0.443
I 0.299 0.683 0.939
I 0.299 0.817 0.439
I 0.299 0.933 0.943
I 0.316 0.058 0.457
I 0.316 0.442 0.957
I 0.464 0.063 0.234
I 0.464 0.437 0.734
I 0.496 0.681 0.750
I 0.496 0.819 0.250
I 0.504 0.181 0.750
I 0.504 0.319 0.250
I 0.536 0.563 0.266
I 0.536 0.937 0.766
I 0.684 0.558 0.043
I 0.684 0.942 0.543
I 0.701 0.067 0.057
I 0.701 0.183 0.561
I 0.701 0.317 0.061
I 0.701 0.433 0.557
I 0.719 0.673 0.533
I 0.719 0.827 0.033
I 0.906 0.192 0.358
I 0.906 0.308 0.858
I 0.906 0.697 0.332
I 0.906 0.803 0.832
I 0.910 0.565 0.845
I 0.910 0.935 0.345

# 6
A geometry-optimized Y2CI2 structure. Source: Materials Project, functional PBE.

crystal system: trigonal
E_tot: -30.13 eV for the cell shown

abc: 3.878 3.878 11.138
angles: 90.00 90.00 120.00
Fractional coordinates of all 5 atoms:
Y 0.333 0.667 0.118
Y 0.667 0.333 0.882
C 0.000 0.000 0.000
I 0.333 0.667 0.687
I 0.667 0.333 0.313